Ba3La2Cl12 PBE-GGA optimized geometry; energy of formation = -2.844 eV per atom; space group = P-1, No. 2
1.0
9.319 0.000 0.000
-0.740 10.072 0.000
-3.671 -5.155 11.666
Ba La Cl
6 4 24
Direct
0.005 0.400 0.207
0.382 0.258 0.971
0.412 0.363 0.633
0.588 0.637 0.367
0.618 0.742 0.029
0.995 0.600 0.793
0.210 0.797 0.577
0.210 0.933 0.204
0.790 0.067 0.796
0.790 0.203 0.423
0.034 0.298 0.947
0.055 0.151 0.298
0.067 0.381 0.582
0.201 0.818 0.366
0.233 0.969 0.014
0.237 0.095 0.682
0.300 0.749 0.770
0.302 0.536 0.465
0.325 0.488 0.870
0.335 0.375 0.203
0.387 0.725 0.162
0.465 0.125 0.389
0.535 0.875 0.611
0.613 0.275 0.838
0.665 0.625 0.797
0.675 0.512 0.130
0.698 0.464 0.535
0.700 0.251 0.230
0.763 0.905 0.318
0.767 0.031 0.986
0.799 0.182 0.634
0.933 0.619 0.418
0.945 0.849 0.702
0.966 0.702 0.053